(1)
Li2NiC2O6: relaxed, GGA+U. Values from VASP.

Output
energy above the lowest structure with this stoichiometry	0.241	eV per formula unit
mass density	2.318	g cm⁻³
spin magnetization	0.182	μB/atom
total DFT energy (no corrections)	-6.558	eV/atom
space-group type	P2_1/c

The structure in Quantum ESPRESSO input format:
```
&SYSTEM
  ibrav = 0, nat = 44, ntyp = 4
/
ATOMIC_SPECIES
Li 6.94 Li.upf
Ni 58.69 Ni.upf
C 12.01 C.upf
O 16.00 O.upf
CELL_PARAMETERS angstrom
7.473 0.000 0.000
0.000 9.554 0.000
-4.858 0.000 7.731
ATOMIC_POSITIONS crystal
Li 0.074 0.207 0.204
Li 0.074 0.293 0.704
Li 0.381 0.606 0.854
Li 0.381 0.894 0.354
Li 0.619 0.106 0.646
Li 0.619 0.394 0.146
Li 0.926 0.707 0.296
Li 0.926 0.793 0.796
Ni 0.496 0.132 0.940
Ni 0.496 0.368 0.440
Ni 0.504 0.632 0.560
Ni 0.504 0.868 0.060
C 0.081 0.012 0.838
C 0.081 0.488 0.338
C 0.464 0.616 0.224
C 0.464 0.884 0.724
C 0.536 0.116 0.276
C 0.536 0.384 0.776
C 0.919 0.512 0.662
C 0.919 0.988 0.162
O 0.121 0.501 0.749
O 0.121 0.999 0.249
O 0.175 0.126 0.837
O 0.175 0.374 0.337
O 0.188 0.598 0.425
O 0.188 0.902 0.925
O 0.459 0.018 0.738
O 0.459 0.482 0.238
O 0.464 0.701 0.333
O 0.464 0.799 0.833
O 0.473 0.665 0.095
O 0.473 0.835 0.595
O 0.527 0.165 0.405
O 0.527 0.335 0.905
O 0.536 0.201 0.167
O 0.536 0.299 0.667
O 0.541 0.518 0.762
O 0.541 0.982 0.262
O 0.812 0.098 0.075
O 0.812 0.402 0.575
O 0.825 0.626 0.663
O 0.825 0.874 0.163
O 0.879 0.001 0.751
O 0.879 0.499 0.251
```

=====

(2)
LiNi2C2O8: relaxed, GGA+U. Values from VASP.

Output
mass density	3.520	g cm⁻³
spin magnetization	0.308	μB/atom
total DFT energy (no corrections)	-6.206	eV/atom
space-group type	P2_1/c

The structure in Quantum ESPRESSO input format:
```
&SYSTEM
  ibrav = 0, nat = 52, ntyp = 4
/
ATOMIC_SPECIES
Li 6.94 Li.upf
Ni 58.69 Ni.upf
C 12.01 C.upf
O 16.00 O.upf
CELL_PARAMETERS angstrom
6.404 0.000 0.000
0.000 8.545 0.000
-6.247 0.000 9.531
ATOMIC_POSITIONS crystal
Li 0.028 0.074 0.168
Li 0.028 0.426 0.668
Li 0.972 0.574 0.332
Li 0.972 0.926 0.832
Ni 0.012 0.732 0.092
Ni 0.012 0.768 0.592
Ni 0.485 0.230 0.407
Ni 0.485 0.270 0.907
Ni 0.515 0.730 0.093
Ni 0.515 0.770 0.593
Ni 0.988 0.232 0.408
Ni 0.988 0.268 0.908
C 0.018 0.116 0.663
C 0.018 0.384 0.163
C 0.472 0.625 0.834
C 0.472 0.875 0.334
C 0.528 0.125 0.666
C 0.528 0.375 0.166
C 0.982 0.616 0.837
C 0.982 0.884 0.337
O 0.084 0.525 0.192
O 0.084 0.975 0.692
O 0.088 0.056 0.011
O 0.088 0.444 0.511
O 0.107 0.218 0.767
O 0.107 0.282 0.267
O 0.133 0.670 0.964
O 0.133 0.830 0.464
O 0.363 0.176 0.540
O 0.363 0.324 0.040
O 0.377 0.011 0.315
O 0.377 0.489 0.815
O 0.391 0.719 0.726
O 0.391 0.781 0.226
O 0.416 0.551 0.491
O 0.416 0.949 0.991
O 0.584 0.051 0.009
O 0.584 0.449 0.509
O 0.609 0.219 0.774
O 0.609 0.281 0.274
O 0.623 0.511 0.185
O 0.623 0.989 0.685
O 0.637 0.676 0.960
O 0.637 0.824 0.460
O 0.867 0.170 0.536
O 0.867 0.330 0.036
O 0.893 0.718 0.733
O 0.893 0.782 0.233
O 0.912 0.556 0.489
O 0.912 0.944 0.989
O 0.916 0.025 0.308
O 0.916 0.475 0.808
```

=====

(3)
LiNiCO4: relaxed, GGA+U. Values from VASP.

Output
mass density	3.582	g cm⁻³
spin magnetization	0.143	μB/atom
total DFT energy (no corrections)	-6.150	eV/atom
space-group type	P2_1/c

The structure in Quantum ESPRESSO input format:
```
&SYSTEM
  ibrav = 0, nat = 28, ntyp = 4
/
ATOMIC_SPECIES
Li 6.94 Li.upf
Ni 58.69 Ni.upf
C 12.01 C.upf
O 16.00 O.upf
CELL_PARAMETERS angstrom
3.107 0.000 0.000
0.000 9.355 0.000
-2.661 0.000 9.035
ATOMIC_POSITIONS crystal
Li 0.099 0.095 0.323
Li 0.099 0.405 0.823
Li 0.901 0.595 0.177
Li 0.901 0.905 0.677
Ni 0.285 0.619 0.557
Ni 0.285 0.881 0.057
Ni 0.715 0.119 0.943
Ni 0.715 0.381 0.443
C 0.438 0.167 0.638
C 0.438 0.333 0.138
C 0.562 0.667 0.862
C 0.562 0.833 0.362
O 0.125 0.504 0.389
O 0.125 0.996 0.889
O 0.346 0.239 0.513
O 0.346 0.261 0.013
O 0.354 0.036 0.633
O 0.354 0.464 0.133
O 0.398 0.736 0.738
O 0.398 0.764 0.238
O 0.602 0.236 0.762
O 0.602 0.264 0.262
O 0.646 0.536 0.867
O 0.646 0.964 0.367
O 0.654 0.739 0.987
O 0.654 0.761 0.487
O 0.875 0.004 0.111
O 0.875 0.496 0.611
```

=====

(4)
Li3Ni2C4O12: relaxed, GGA+U. Values from VASP.

Output
energy above the lowest structure with this stoichiometry	1.615	eV per formula unit
mass density	2.447	g cm⁻³
spin magnetization	0.143	μB/atom
total DFT energy (no corrections)	-6.509	eV/atom
space-group type	P2_1

The structure in Quantum ESPRESSO input format:
```
&SYSTEM
  ibrav = 0, nat = 42, ntyp = 4
/
ATOMIC_SPECIES
Li 6.94 Li.upf
Ni 58.69 Ni.upf
C 12.01 C.upf
O 16.00 O.upf
CELL_PARAMETERS angstrom
6.885 0.000 0.000
0.000 9.475 0.000
-2.855 0.000 7.871
ATOMIC_POSITIONS crystal
Li 0.199 0.000 0.332
Li 0.248 0.691 0.599
Li 0.253 0.919 0.902
Li 0.747 0.419 0.098
Li 0.752 0.191 0.401
Li 0.801 0.500 0.668
Ni 0.210 0.190 0.701
Ni 0.288 0.421 0.800
Ni 0.712 0.921 0.200
Ni 0.790 0.690 0.299
C 0.006 0.411 0.474
C 0.017 0.795 0.106
C 0.479 0.809 0.388
C 0.492 0.197 0.021
C 0.508 0.697 0.979
C 0.521 0.309 0.612
C 0.983 0.295 0.894
C 0.994 0.911 0.526
O 0.019 0.186 0.815
O 0.034 0.276 0.495
O 0.060 0.421 0.875
O 0.101 0.499 0.597
O 0.122 0.959 0.661
O 0.130 0.787 0.017
O 0.345 0.822 0.459
O 0.382 0.650 0.841
O 0.395 0.111 0.900
O 0.415 0.194 0.598
O 0.462 0.333 0.004
O 0.498 0.418 0.702
O 0.502 0.918 0.298
O 0.538 0.833 0.996
O 0.585 0.694 0.402
O 0.605 0.611 0.100
O 0.618 0.150 0.159
O 0.655 0.322 0.541
O 0.870 0.287 0.983
O 0.878 0.459 0.339
O 0.899 0.999 0.403
O 0.940 0.921 0.125
O 0.966 0.776 0.505
O 0.981 0.686 0.185
```

=====

(5)
Li2NiC2O6: relaxed, GGA+U. Values from VASP.

Output
energy above the lowest structure with this stoichiometry	0.169	eV per formula unit
mass density	2.642	g cm⁻³
spin magnetization	0.000	μB/atom
total DFT energy (no corrections)	-6.564	eV/atom
space-group type	P1

The structure in Quantum ESPRESSO input format:
```
&SYSTEM
  ibrav = 0, nat = 22, ntyp = 4
/
ATOMIC_SPECIES
Li 6.94 Li.upf
Ni 58.69 Ni.upf
C 12.01 C.upf
O 16.00 O.upf
CELL_PARAMETERS angstrom
5.317 0.000 0.000
2.550 5.660 0.000
1.934 0.301 8.045
ATOMIC_POSITIONS crystal
Li 0.000 0.000 0.000
Li 0.156 0.535 0.531
Li 0.344 0.917 0.312
Li 0.568 0.504 0.821
Ni 0.030 0.514 0.169
Ni 0.658 0.035 0.666
C 0.421 0.126 0.963
C 0.657 0.461 0.453
C 0.809 0.927 0.372
C 0.931 0.618 0.885
O 0.151 0.633 0.921
O 0.289 0.166 0.116
O 0.312 0.072 0.857
O 0.489 0.549 0.352
O 0.553 0.977 0.453
O 0.560 0.393 0.604
O 0.665 0.138 0.906
O 0.772 0.549 0.004
O 0.869 0.669 0.738
O 0.889 0.864 0.219
O 0.919 0.440 0.412
O 0.984 0.939 0.453
```

=====

(6)
Li3Ni2C4O12: relaxed, GGA+U. Values from VASP.

Output
energy above the lowest structure with this stoichiometry	0.000	eV per formula unit
mass density	2.732	g cm⁻³
spin magnetization	0.143	μB/atom
total DFT energy (no corrections)	-6.586	eV/atom
space-group type	P1

The structure in Quantum ESPRESSO input format:
```
&SYSTEM
  ibrav = 0, nat = 21, ntyp = 4
/
ATOMIC_SPECIES
Li 6.94 Li.upf
Ni 58.69 Ni.upf
C 12.01 C.upf
O 16.00 O.upf
CELL_PARAMETERS angstrom
5.229 0.000 0.000
-2.602 5.704 0.000
-0.032 -0.055 7.708
ATOMIC_POSITIONS crystal
Li 0.000 0.000 0.000
Li 0.111 0.875 0.510
Li 0.608 0.373 0.127
Ni 0.300 0.683 0.070
Ni 0.804 0.192 0.565
C 0.043 0.568 0.807
C 0.070 0.300 0.299
C 0.532 0.059 0.829
C 0.577 0.807 0.327
O 0.173 0.254 0.437
O 0.205 0.340 0.152
O 0.296 0.586 0.832
O 0.320 0.788 0.313
O 0.401 0.025 0.977
O 0.415 0.077 0.686
O 0.679 0.765 0.182
O 0.716 0.858 0.467
O 0.791 0.086 0.821
O 0.822 0.300 0.309
O 0.925 0.600 0.948
O 0.928 0.533 0.659
```